DFT (GGA+U) results for Li4VP2O8 after structural relaxation.

Cell: 6.2349 10.5428 10.4907 Å, 68.93 94.23 95.78°
Sites, in units of the cell vectors:
O1 0.2506 0.8520 0.5236
O2 0.2453 0.1606 0.5164
O3 0.7547 0.8394 0.4834
O4 0.7547 0.8394 0.9836
O5 0.0820 0.8872 0.2134
O6 0.9181 0.1127 0.2865
O7 0.4885 0.3770 0.9734
O8 0.7495 0.1480 0.9765
O9 0.7547 0.3394 0.7336
O10 0.2505 0.3519 0.7737
O11 0.5116 0.1229 0.7766
O12 0.9181 0.6128 0.0365
O13 0.9180 0.6127 0.5368
O14 0.4885 0.8770 0.2234
O15 0.0819 0.3873 0.4632
O16 0.2453 0.1606 0.0166
O17 0.7495 0.1481 0.4763
O18 0.7548 0.3394 0.2334
O19 0.5116 0.6230 0.0266
O20 0.2452 0.6606 0.7666
O21 0.5116 0.6229 0.5266
O22 0.0819 0.3873 0.9635
O23 0.7494 0.6480 0.7265
O24 0.4884 0.3771 0.4734
O25 0.2506 0.3520 0.2735
O26 0.2505 0.8520 0.0236
O27 0.5116 0.1229 0.2766
O28 0.9180 0.1127 0.7868
O29 0.2453 0.6606 0.2664
O30 0.0819 0.8873 0.7132
O31 0.7495 0.6480 0.2264
O32 0.4883 0.8771 0.7234
Li1 0.5172 0.5769 0.3578
Li2 0.4829 0.4231 0.1422
Li3 0.5172 0.0769 0.6077
Li4 0.4828 0.4231 0.6423
Li5 0.5171 0.0769 0.1078
Li6 0.7943 0.3235 0.0287
Li7 0.4828 0.9231 0.8923
Li8 0.7943 0.8235 0.2787
Li9 0.2057 0.6765 0.9713
Li10 0.4828 0.9231 0.3923
Li11 0.2057 0.1764 0.7214
Li12 0.7943 0.3236 0.5287
Li13 0.5171 0.5769 0.8577
Li14 0.2057 0.6764 0.4714
Li15 0.7943 0.8236 0.7787
Li16 0.2058 0.1765 0.2213
P1 0.7307 0.1836 0.8175
P2 0.7308 0.6836 0.0674
P3 0.2692 0.8164 0.6825
P4 0.2692 0.3164 0.4325
P5 0.2692 0.8164 0.1826
P6 0.2692 0.3164 0.9326
P7 0.7308 0.6836 0.5675
P8 0.7308 0.1836 0.3174
V1 0.0000 0.5001 0.2499
V2 0.9999 0.0000 0.4998
V3 0.0000 0.0000 0.0000
V4 0.9999 0.5000 0.7501

Results
Formation energy from the elements, eV/atom: -2.654
Energy, eV for the cell shown: -398.97
Volume, Å³/atom: 10.66
Theoretical density, g/cm³: 2.79